Record 1
Compound: Zr3Rh
Source: the Materials Project database
Functional: PBE
Structure: optimized geometry

Output
E_tot: -8.488 eV per atom
SG: No. 139

abc: 5.7837 5.7837 5.7837
angles: 139.27 139.27 58.97
With the nearest neighbours (Å) after each atom.
Fractional coordinates of all 4 atoms:
Zr (0.7500, 0.2500, 0.5000)  4 Zr 2.85
Zr (0.5000, 0.5000, 0.0000)  4 Rh 2.85
Zr (0.2500, 0.7500, 0.5000)  4 Zr 2.85
Rh (0.0000, 0.0000, 0.0000)  4 Zr 2.85

---

Record 2
Compound: F
Source: the Materials Project database
Functional: PBE
Structure: optimized geometry

Output
Offset from the most stable computed form: 764 meV/atom
SG: No. 223

abc: 4.4621 4.4621 4.4621
angles: 90.00 90.00 90.00
With the nearest neighbours (Å) after each atom.
Fractional coordinates of all 8 atoms:
F (0.2500, 0.5000, 0.0000)  6 F 2.23-2.49
F (0.7500, 0.5000, 0.0000)  6 F 2.23-2.49
F (0.5000, 0.0000, 0.7500)  6 F 2.23-2.49
F (0.0000, 0.0000, 0.0000)  12 F 2.49
F (0.5000, 0.0000, 0.2500)  6 F 2.23-2.49
F (0.5000, 0.5000, 0.5000)  12 F 2.49
F (0.0000, 0.7500, 0.5000)  6 F 2.23-2.49
F (0.0000, 0.2500, 0.5000)  6 F 2.23-2.49

---

Record 3
Compound: K2RbAlBr6
Source: the Materials Project database
Functional: PBE
Structure: optimized geometry

Output
E_tot: -3.105 eV per atom
SG: No. 225

abc: 8.1285 8.1285 8.1285
angles: 60.00 60.00 60.00
With the nearest neighbours (Å) after each atom.
Fractional coordinates of all 10 atoms:
Rb (0.5000, 0.5000, 0.5000)  6 Br 3.23
Br (0.2192, 0.7808, 0.7808)  1 Al 2.52
Br (0.7808, 0.2192, 0.2192)  1 Al 2.52
Br (0.2192, 0.2192, 0.7808)  1 Al 2.52
Br (0.2192, 0.7808, 0.2192)  1 Al 2.52
Br (0.7808, 0.2192, 0.7808)  1 Al 2.52
Br (0.7808, 0.7808, 0.2192)  1 Al 2.52
Al (0.0000, 0.0000, 0.0000)  6 Br 2.52
K (0.7500, 0.7500, 0.7500)  12 Br 4.08
K (0.2500, 0.2500, 0.2500)  12 Br 4.08

---

Record 4
Compound: Zr3CuF6
Source: the Materials Project database
Functional: PBE
Structure: optimized geometry

Output
E_tot: -6.112 eV per atom
SG: No. 2

abc: 5.9199 5.4669 14.9914
angles: 107.07 54.69 122.73
With the nearest neighbours (Å) after each atom.
Fractional coordinates of all 10 atoms:
Cu (0.0000, 0.0000, 0.0000)  4 Zr 2.73-2.74
F (0.4930, 0.6519, 0.8846)  2 Zr 2.14-2.16
F (0.9375, 0.0427, 0.6470)  1 Zr 1.97
F (0.1821, 0.6740, 0.1067)  2 Zr 2.14-2.15
F (0.0625, 0.9573, 0.3530)  1 Zr 1.97
F (0.5070, 0.3481, 0.1154)  2 Zr 2.14-2.16
F (0.8179, 0.3260, 0.8933)  2 Zr 2.14-2.15
Zr (0.0000, 0.5000, 0.0000)  4 F 2.14-2.15
Zr (0.5000, 0.5000, 0.0000)  4 F 2.14-2.16
Zr (0.0000, 0.0000, 0.5000)  2 F 1.97

---

Record 5
Compound: GdNiGe3
Source: the Materials Project database
Functional: PBE
Structure: optimized geometry

Output
E_tot: -7.329 eV per atom
SG: No. 65

abc: 11.0192 11.0192 4.1278
angles: 90.00 90.00 158.34
With the nearest neighbours (Å) after each atom.
Fractional coordinates of all 10 atoms:
Gd (0.8316, 0.1684, 0.5000)  10 Ge 3.10-3.23, 4 Ni 3.18
Gd (0.1684, 0.8316, 0.5000)  10 Ge 3.10-3.23, 4 Ni 3.18
Ni (0.6102, 0.3898, 0.0000)  5 Ge 2.30-2.37
Ni (0.3898, 0.6102, 0.0000)  5 Ge 2.30-2.37
Ge (0.5572, 0.4428, 0.5000)  2 Ni 2.36, 1 Ge 2.48
Ge (0.9427, 0.0573, 0.0000)  2 Ni 2.37, 1 Ge 2.48
Ge (0.4428, 0.5572, 0.5000)  2 Ni 2.36, 1 Ge 2.48
Ge (0.2835, 0.7165, 0.0000)  1 Ni 2.30, 2 Ge 2.53
Ge (0.0573, 0.9427, 0.0000)  2 Ni 2.37, 1 Ge 2.48
Ge (0.7165, 0.2835, 0.0000)  1 Ni 2.30, 2 Ge 2.53

---

Record 6
Compound: TiZnAgP3O12
Source: the Materials Project database
Functional: PBE
Structure: optimized geometry

Output
E_tot: -6.755 eV per atom
SG: No. 161

abc: 8.5855 8.5855 8.5855
angles: 61.73 61.73 61.73
With the nearest neighbours (Å) after each atom.
Fractional coordinates of all 36 atoms:
Ti (0.6454, 0.6454, 0.6454)  6 O 1.90-2.10
Ti (0.1454, 0.1454, 0.1454)  6 O 1.90-2.10
P (0.9451, 0.5477, 0.2562)  4 O 1.52-1.57
P (0.5477, 0.2562, 0.9451)  4 O 1.52-1.57
P (0.4451, 0.7562, 0.0477)  4 O 1.52-1.57
P (0.0477, 0.4451, 0.7562)  4 O 1.52-1.57
P (0.2562, 0.9451, 0.5477)  4 O 1.52-1.57
P (0.7562, 0.0477, 0.4451)  4 O 1.52-1.57
O (0.8779, 0.5056, 0.6929)  1 P 1.57
O (0.3779, 0.1929, 0.0056)  1 P 1.57
O (0.5056, 0.6929, 0.8779)  1 P 1.57
O (0.6005, 0.2408, 0.4270)  1 P 1.55
O (0.0315, 0.5910, 0.8201)  1 P 1.52
O (0.4270, 0.6005, 0.2408)  1 P 1.55
O (0.9270, 0.7407, 0.1006)  1 P 1.55
O (0.0912, 0.5314, 0.3202)  1 P 1.52
O (0.1929, 0.0056, 0.3779)  1 P 1.57
O (0.0056, 0.3779, 0.1929)  1 P 1.57
O (0.7407, 0.1006, 0.9270)  1 P 1.55
O (0.3202, 0.0912, 0.5314)  1 P 1.52
O (0.5512, 0.4170, 0.7535)  1 P 1.57
O (0.5314, 0.3202, 0.0912)  1 P 1.52
O (0.2408, 0.4270, 0.6005)  1 P 1.55
O (0.1006, 0.9270, 0.7407)  1 P 1.55
O (0.4170, 0.7535, 0.5512)  1 P 1.57
O (0.5910, 0.8201, 0.0315)  1 P 1.52
O (0.0512, 0.2534, 0.9170)  1 P 1.57
O (0.9170, 0.0512, 0.2534)  1 P 1.57
O (0.6929, 0.8779, 0.5056)  1 P 1.57
O (0.7535, 0.5512, 0.4170)  1 P 1.57
O (0.8201, 0.0315, 0.5910)  1 P 1.52
O (0.2534, 0.9170, 0.0512)  1 P 1.57
Zn (0.4958, 0.4958, 0.4958)  6 O 2.19-2.20
Zn (0.9958, 0.9958, 0.9958)  6 O 2.19-2.20
Ag (0.3508, 0.3508, 0.3508)  6 O 2.08-2.18
Ag (0.8508, 0.8508, 0.8508)  6 O 2.08-2.18

---

Record 7
Compound: CsHSO3
Source: the Materials Project database
Functional: PBE
Structure: optimized geometry

Output
E_tot: -5.292 eV per atom
Piezoelectric modulus e_max: 0.292 C/m²
SG: No. 160

abc: 4.7184 4.7184 4.7184
angles: 87.11 87.11 87.11
With the nearest neighbours (Å) after each atom.
Fractional coordinates of all 6 atoms:
S (0.4392, 0.4392, 0.4392)  1 H 1.36, 3 O 1.47
Cs (0.9957, 0.9957, 0.9957)  9 O 3.28-3.33, 1 H 3.42
O (0.5192, 0.5192, 0.1409)  1 S 1.47
O (0.1409, 0.5192, 0.5192)  1 S 1.47
O (0.5192, 0.1409, 0.5192)  1 S 1.47
H (0.5974, 0.5974, 0.5974)  1 S 1.36

---

Record 8
Compound: ScBrO
Source: the Materials Project database
Functional: PBE
Structure: optimized geometry

Output
E_tot: -7.094 eV per atom
SG: No. 59

abc: 3.5764 3.9845 8.9839
angles: 90.00 90.00 90.00
With the nearest neighbours (Å) after each atom.
Fractional coordinates of all 6 atoms:
O (0.5000, 0.5000, 0.9694)  4 Sc 2.10-2.16
O (0.0000, 0.0000, 0.0306)  4 Sc 2.10-2.16
Br (0.0000, 0.0000, 0.6745)  2 Sc 2.68
Br (0.5000, 0.5000, 0.3255)  2 Sc 2.68
Sc (0.5000, 0.0000, 0.8963)  4 O 2.10-2.16
Sc (0.0000, 0.5000, 0.1037)  4 O 2.10-2.16

---

Record 9
Compound: Rh2Se9Br6
Source: the Materials Project database
Functional: PBE
Structure: optimized geometry

Output
E_tot: -3.560 eV per atom
SG: No. 88

abc: 15.7013 15.7013 15.7013
angles: 132.00 132.00 70.23
With the nearest neighbours (Å) after each atom.
Fractional coordinates of all 68 atoms:
Se (0.4231, 0.8323, 0.2550)  2 Se 2.38-2.54, 1 Rh 2.42
Se (0.7457, 0.2198, 0.8046)  2 Se 2.38-2.42
Se (0.6912, 0.9957, 0.0259)  2 Se 2.38-2.42
Se (0.8721, 0.3129, 0.3754)  2 Se 2.42-2.49, 1 Rh 2.42
Se (0.3347, 0.3088, 0.3046)  2 Se 2.38-2.42
Se (0.0043, 0.0302, 0.6954)  2 Se 2.38-2.42
Se (0.7072, 0.5658, 0.8621)  2 Se 2.38-2.54, 1 Rh 2.42
Se (0.3269, 0.4177, 0.2450)  2 Se 2.38-2.54, 1 Rh 2.42
Se (0.6871, 0.0625, 0.5592)  2 Se 2.42-2.49, 1 Rh 2.42
Se (0.8319, 0.5769, 0.4092)  2 Se 2.38-2.54, 1 Rh 2.42
Se (0.2467, 0.1221, 0.0592)  2 Se 2.42-2.49, 1 Rh 2.42
Se (0.3158, 0.9537, 0.3586)  2 Se 2.38-2.54, 1 Rh 2.42
Se (0.5950, 0.9572, 0.6414)  2 Se 2.38-2.54, 1 Rh 2.42
Se (0.0428, 0.6842, 0.6379)  2 Se 2.38-2.54, 1 Rh 2.42
Se (0.5773, 0.1681, 0.7450)  2 Se 2.38-2.54, 1 Rh 2.42
Se (0.1550, 0.2928, 0.8586)  2 Se 2.38-2.54, 1 Rh 2.42
Se (0.0629, 0.1875, 0.9408)  2 Se 2.42-2.49, 1 Rh 2.42
Se (0.9181, 0.6731, 0.0908)  2 Se 2.38-2.54, 1 Rh 2.42
Se (0.5823, 0.8273, 0.9092)  2 Se 2.38-2.54, 1 Rh 2.42
Se (0.7037, 0.8450, 0.1379)  2 Se 2.38-2.54, 1 Rh 2.42
Se (0.1677, 0.4227, 0.5908)  2 Se 2.38-2.54, 1 Rh 2.42
Se (0.3561, 0.3561, 0.0000)  2 Se 2.38
Se (0.5033, 0.1279, 0.4408)  2 Se 2.42-2.49, 1 Rh 2.42
Se (0.6439, 0.6439, 0.0000)  2 Se 2.38
Se (0.4342, 0.2963, 0.1414)  2 Se 2.38-2.54, 1 Rh 2.42
Se (0.9375, 0.4967, 0.6246)  2 Se 2.42-2.49, 1 Rh 2.42
Se (0.7802, 0.5847, 0.5259)  2 Se 2.38-2.42
Se (0.8125, 0.7533, 0.8754)  2 Se 2.42-2.49, 1 Rh 2.42
Se (0.1061, 0.6061, 0.5000)  2 Se 2.38
Se (0.3939, 0.8939, 0.5000)  2 Se 2.38
Se (0.0588, 0.2543, 0.4741)  2 Se 2.38-2.42
Se (0.8779, 0.9371, 0.1246)  2 Se 2.42-2.49, 1 Rh 2.42
Se (0.0463, 0.4050, 0.3621)  2 Se 2.38-2.54, 1 Rh 2.42
Se (0.4153, 0.9412, 0.1954)  2 Se 2.38-2.42
Se (0.1727, 0.0819, 0.7550)  2 Se 2.38-2.54, 1 Rh 2.42
Se (0.9698, 0.6653, 0.9741)  2 Se 2.38-2.42
Br (0.4263, 0.5614, 0.6039)  1 Rh 2.55
Br (0.9138, 0.3402, 0.8213)  1 Rh 2.55
Br (0.7926, 0.4276, 0.1039)  1 Rh 2.55
Br (0.6598, 0.4811, 0.5736)  1 Rh 2.55
Br (0.8362, 0.9098, 0.6787)  1 Rh 2.55
Br (0.1203, 0.9263, 0.3883)  1 Rh 2.53
Br (0.6763, 0.7880, 0.3060)  1 Rh 2.53
Br (0.5724, 0.6763, 0.3650)  1 Rh 2.55
Br (0.4386, 0.0426, 0.8650)  1 Rh 2.55
Br (0.6297, 0.3237, 0.1117)  1 Rh 2.53
Br (0.0737, 0.4620, 0.1940)  1 Rh 2.53
Br (0.1776, 0.5737, 0.1350)  1 Rh 2.55
Br (0.2680, 0.8797, 0.8060)  1 Rh 2.53
Br (0.9075, 0.0862, 0.4264)  1 Rh 2.55
Br (0.5189, 0.0925, 0.1787)  1 Rh 2.55
Br (0.3114, 0.2074, 0.6350)  1 Rh 2.55
Br (0.9574, 0.8224, 0.3961)  1 Rh 2.55
Br (0.5380, 0.7320, 0.6117)  1 Rh 2.53
Br (0.0902, 0.7689, 0.9264)  1 Rh 2.55
Br (0.3237, 0.6886, 0.8961)  1 Rh 2.55
Br (0.4820, 0.3703, 0.6940)  1 Rh 2.53
Br (0.8425, 0.1638, 0.0736)  1 Rh 2.55
Br (0.2120, 0.5180, 0.8883)  1 Rh 2.53
Br (0.2311, 0.1575, 0.3213)  1 Rh 2.55
Rh (0.1264, 0.3706, 0.0310)  3 Se 2.42, 3 Br 2.53-2.55
Rh (0.6236, 0.8794, 0.4690)  3 Se 2.42, 3 Br 2.53-2.55
Rh (0.9046, 0.8736, 0.2442)  3 Se 2.42, 3 Br 2.53-2.55
Rh (0.8454, 0.3764, 0.2558)  3 Se 2.42, 3 Br 2.53-2.55
Rh (0.1206, 0.5896, 0.7442)  3 Se 2.42, 3 Br 2.53-2.55
Rh (0.4104, 0.1546, 0.5310)  3 Se 2.42, 3 Br 2.53-2.55
Rh (0.3396, 0.0954, 0.9690)  3 Se 2.42, 3 Br 2.53-2.55
Rh (0.6294, 0.6604, 0.7558)  3 Se 2.42, 3 Br 2.53-2.55

---

Record-wise density values, in g/cm3: 7.66; 2.84; 2.93; 2.25; 7.79; 3.62; 3.39; 3.65; 4.42